A) This record from the Materials Project database describes an optimized crystal structure of Fe3P4O15. The functional is GGA+U.

Computed properties:
The total magnetization comes out at 16.00 μB/cell. The volume comes out at 1244 Å³ per cell.

a = 6.428 Å, b = 11.000 Å, c = 17.592 Å
α = 90.00°, β = 90.00°, γ = 90.00°
Atoms (fractional coordinates):
O 0.402 0.022 0.151
O 0.098 0.136 0.090
O 0.598 0.864 0.910
O 0.044 0.362 0.763
O 0.583 0.140 0.443
O 0.860 0.219 0.995
O 0.033 0.624 0.553
O 0.612 0.113 0.262
O 0.784 0.978 0.160
O 0.271 0.466 0.862
O 0.887 0.503 0.863
O 0.612 0.387 0.762
O 0.275 0.789 0.143
O 0.098 0.364 0.590
O 0.608 0.083 0.747
O 0.782 0.250 0.137
O 0.583 0.360 0.943
O 0.112 0.887 0.738
O 0.072 0.364 0.070
O 0.282 0.750 0.863
O 0.112 0.613 0.238
O 0.544 0.862 0.737
O 0.572 0.636 0.930
O 0.044 0.138 0.263
O 0.540 0.896 0.264
O 0.360 0.781 0.005
O 0.402 0.478 0.651
O 0.108 0.917 0.253
O 0.284 0.022 0.840
O 0.544 0.638 0.237
O 0.040 0.396 0.236
O 0.608 0.417 0.247
O 0.902 0.522 0.349
O 0.072 0.136 0.570
O 0.387 0.497 0.137
O 0.282 0.750 0.363
O 0.771 0.534 0.138
O 0.572 0.864 0.430
O 0.108 0.583 0.753
O 0.083 0.640 0.057
O 0.387 0.003 0.637
O 0.598 0.636 0.410
O 0.782 0.250 0.637
O 0.360 0.719 0.505
O 0.533 0.124 0.947
O 0.540 0.604 0.764
O 0.860 0.281 0.495
O 0.775 0.289 0.357
O 0.284 0.478 0.340
O 0.902 0.978 0.849
O 0.083 0.860 0.557
O 0.533 0.376 0.447
O 0.775 0.211 0.857
O 0.033 0.876 0.053
O 0.271 0.034 0.362
O 0.040 0.104 0.736
O 0.771 0.966 0.638
O 0.784 0.522 0.660
O 0.275 0.711 0.643
O 0.887 0.997 0.363
Fe 0.593 0.482 0.358
Fe 0.578 0.008 0.368
Fe 0.093 0.518 0.642
Fe 0.816 0.259 0.248
Fe 0.078 0.992 0.632
Fe 0.593 0.018 0.858
Fe 0.078 0.508 0.132
Fe 0.816 0.241 0.748
Fe 0.316 0.741 0.752
Fe 0.316 0.759 0.252
Fe 0.093 0.982 0.142
Fe 0.578 0.492 0.868
P 0.455 0.744 0.423
P 0.085 0.999 0.795
P 0.176 0.734 0.564
P 0.076 0.476 0.813
P 0.176 0.766 0.064
P 0.576 0.524 0.187
P 0.676 0.234 0.936
P 0.955 0.244 0.077
P 0.076 0.024 0.313
P 0.955 0.256 0.577
P 0.576 0.976 0.687
P 0.676 0.266 0.436
P 0.455 0.756 0.923
P 0.585 0.499 0.705
P 0.585 0.001 0.205
P 0.085 0.501 0.295

B) This record from the Materials Project database describes an optimized crystal structure of Fe3P4O15. The functional is GGA+U.

Computed properties:
The total magnetization comes out at 62.35 μB/cell. The volume comes out at 1203 Å³ per cell.

a = 6.394 Å, b = 10.818 Å, c = 17.397 Å
α = 90.00°, β = 90.00°, γ = 90.00°
Atoms (fractional coordinates):
O 0.608 0.874 0.913
O 0.785 0.957 0.631
O 0.395 0.993 0.626
O 0.867 0.206 0.989
O 0.189 0.689 0.637
O 0.895 0.007 0.374
O 0.788 0.243 0.133
O 0.796 0.971 0.162
O 0.624 0.111 0.265
O 0.550 0.890 0.268
O 0.986 0.858 0.016
O 0.094 0.865 0.545
O 0.788 0.257 0.633
O 0.580 0.642 0.937
O 0.080 0.142 0.563
O 0.367 0.706 0.511
O 0.114 0.910 0.266
O 0.986 0.642 0.516
O 0.050 0.110 0.732
O 0.895 0.493 0.874
O 0.124 0.611 0.235
O 0.608 0.626 0.413
O 0.796 0.529 0.662
O 0.050 0.390 0.232
O 0.410 0.484 0.656
O 0.285 0.043 0.369
O 0.189 0.811 0.137
O 0.108 0.126 0.087
O 0.594 0.135 0.455
O 0.094 0.635 0.045
O 0.910 0.984 0.844
O 0.296 0.029 0.838
O 0.410 0.016 0.156
O 0.550 0.610 0.768
O 0.296 0.471 0.338
O 0.689 0.311 0.363
O 0.288 0.743 0.367
O 0.050 0.131 0.261
O 0.867 0.294 0.489
O 0.785 0.543 0.131
O 0.594 0.365 0.955
O 0.614 0.410 0.234
O 0.108 0.374 0.587
O 0.285 0.457 0.869
O 0.124 0.889 0.735
O 0.486 0.358 0.484
O 0.689 0.189 0.863
O 0.614 0.090 0.734
O 0.624 0.389 0.765
O 0.550 0.869 0.739
O 0.486 0.142 0.984
O 0.114 0.590 0.766
O 0.050 0.369 0.761
O 0.288 0.757 0.867
O 0.367 0.794 0.011
O 0.395 0.507 0.126
O 0.910 0.516 0.344
O 0.550 0.631 0.239
O 0.080 0.358 0.063
O 0.580 0.858 0.437
P 0.464 0.736 0.427
P 0.964 0.264 0.573
P 0.646 0.227 0.948
P 0.146 0.773 0.052
P 0.964 0.236 0.073
P 0.097 0.496 0.292
P 0.586 0.976 0.678
P 0.464 0.764 0.927
P 0.086 0.024 0.322
P 0.146 0.727 0.552
P 0.646 0.273 0.448
P 0.086 0.476 0.822
P 0.597 0.996 0.208
P 0.597 0.504 0.708
P 0.097 0.004 0.792
P 0.586 0.524 0.178
Fe 0.602 0.007 0.840
Fe 0.102 0.507 0.660
Fe 0.102 0.993 0.160
Fe 0.586 0.006 0.374
Fe 0.311 0.741 0.755
Fe 0.811 0.259 0.245
Fe 0.086 0.994 0.626
Fe 0.311 0.759 0.255
Fe 0.086 0.506 0.126
Fe 0.586 0.494 0.874
Fe 0.811 0.241 0.745
Fe 0.602 0.493 0.340

Winner for stability: A)

A) This record from the Materials Project database describes an optimized crystal structure of FeP2O7. The functional is GGA+U.

Computed properties:
The total magnetization comes out at 47.99 μB/cell. The volume comes out at 1094 Å³ per cell.

a = 12.966 Å, b = 9.159 Å, c = 9.720 Å
α = 71.36°, β = 90.00°, γ = 90.00°
Atoms (fractional coordinates):
O 0.987 0.402 0.895
O 0.886 0.849 0.169
O 0.218 0.859 0.084
O 0.681 0.909 0.075
O 0.314 0.407 0.091
O 0.961 0.112 0.677
O 0.707 0.879 0.375
O 0.614 0.849 0.669
O 0.039 0.888 0.323
O 0.869 0.035 0.311
O 0.441 0.627 0.190
O 0.686 0.593 0.909
O 0.114 0.151 0.831
O 0.282 0.859 0.584
O 0.606 0.656 0.327
O 0.386 0.151 0.331
O 0.393 0.502 0.843
O 0.539 0.112 0.177
O 0.181 0.091 0.425
O 0.893 0.498 0.657
O 0.941 0.373 0.310
O 0.369 0.965 0.189
O 0.744 0.351 0.596
O 0.285 0.379 0.380
O 0.186 0.407 0.591
O 0.983 0.102 0.096
O 0.715 0.621 0.620
O 0.207 0.121 0.125
O 0.517 0.102 0.596
O 0.819 0.909 0.575
O 0.756 0.351 0.096
O 0.483 0.898 0.404
O 0.017 0.898 0.904
O 0.607 0.498 0.157
O 0.814 0.593 0.409
O 0.559 0.373 0.810
O 0.215 0.379 0.880
O 0.461 0.888 0.823
O 0.013 0.598 0.105
O 0.059 0.627 0.690
O 0.513 0.402 0.395
O 0.782 0.141 0.916
O 0.394 0.344 0.673
O 0.631 0.035 0.811
O 0.244 0.649 0.904
O 0.793 0.879 0.875
O 0.894 0.656 0.827
O 0.107 0.502 0.343
O 0.718 0.141 0.416
O 0.131 0.965 0.689
O 0.293 0.121 0.625
O 0.319 0.091 0.925
O 0.106 0.344 0.173
O 0.785 0.621 0.120
O 0.256 0.649 0.404
O 0.487 0.598 0.605
P 0.288 0.489 0.932
P 0.965 0.549 0.769
P 0.224 0.004 0.576
P 0.212 0.489 0.432
P 0.776 0.996 0.424
P 0.712 0.511 0.068
P 0.951 0.964 0.226
P 0.549 0.964 0.726
P 0.451 0.036 0.274
P 0.724 0.996 0.924
P 0.049 0.036 0.774
P 0.276 0.004 0.076
P 0.035 0.451 0.231
P 0.788 0.511 0.568
P 0.535 0.549 0.269
P 0.465 0.451 0.731
Fe 0.416 0.250 0.499
Fe 0.255 0.248 0.755
Fe 0.584 0.750 0.501
Fe 0.755 0.752 0.745
Fe 0.916 0.750 0.001
Fe 0.084 0.250 0.999
Fe 0.745 0.752 0.245
Fe 0.245 0.248 0.255

B) This record from the Materials Project database describes an optimized crystal structure of FeP2O7. The functional is GGA+U.

Computed properties:
The total magnetization comes out at 16.00 μB/cell. The volume comes out at 545 Å³ per cell.

a = 8.161 Å, b = 7.413 Å, c = 9.623 Å
α = 69.36°, β = 90.00°, γ = 90.00°
Atoms (fractional coordinates):
O 0.881 0.355 0.895
O 0.582 0.459 0.843
O 0.619 0.355 0.395
O 0.651 0.110 0.948
O 0.909 0.003 0.847
O 0.146 0.194 0.607
O 0.151 0.890 0.552
O 0.381 0.645 0.605
O 0.806 0.815 0.108
O 0.849 0.110 0.448
O 0.918 0.459 0.343
O 0.409 0.997 0.653
O 0.194 0.185 0.892
O 0.591 0.003 0.347
O 0.186 0.680 0.394
O 0.814 0.320 0.606
O 0.306 0.185 0.392
O 0.646 0.806 0.893
O 0.349 0.890 0.052
O 0.119 0.645 0.105
O 0.082 0.541 0.657
O 0.354 0.194 0.107
O 0.418 0.541 0.157
O 0.686 0.320 0.106
O 0.314 0.680 0.894
O 0.091 0.997 0.153
O 0.694 0.815 0.608
O 0.854 0.806 0.393
P 0.740 0.929 0.448
P 0.796 0.321 0.448
P 0.296 0.679 0.052
P 0.760 0.929 0.948
P 0.240 0.071 0.052
P 0.704 0.321 0.948
P 0.204 0.679 0.552
P 0.260 0.071 0.552
Fe 0.508 0.731 0.750
Fe 0.992 0.731 0.250
Fe 0.492 0.269 0.250
Fe 0.008 0.269 0.750

C) This record from the Materials Project database describes an optimized crystal structure of FeP2O7. The functional is GGA+U.

Computed properties:
The total magnetization comes out at 5.66 μB/cell. The volume comes out at 266 Å³ per cell.

a = 6.589 Å, b = 6.381 Å, c = 6.952 Å
α = 113.99°, β = 91.16°, γ = 85.10°
Atoms (fractional coordinates):
P 0.858 0.780 0.749
P 0.613 0.662 0.347
P 0.142 0.220 0.251
P 0.387 0.338 0.653
O 0.331 0.066 0.124
O 0.048 0.907 0.773
O 0.669 0.934 0.876
O 0.653 0.793 0.214
O 0.952 0.093 0.227
O 0.421 0.757 0.485
O 0.579 0.243 0.515
O 0.382 0.595 0.793
O 0.347 0.207 0.786
O 0.196 0.307 0.494
O 0.618 0.406 0.207
O 0.897 0.577 0.813
O 0.102 0.423 0.187
O 0.804 0.693 0.506
Fe 0.651 0.100 0.214
Fe 0.349 0.900 0.786

D) This record from the Materials Project database describes an optimized crystal structure of FeP2O7. The functional is GGA+U.

Computed properties:
The total magnetization comes out at 4.00 μB/cell. The calculation puts the maximum piezoelectric response at 1.9 C/m². The volume comes out at 121 Å³ per cell.

a = 5.236 Å, b = 5.236 Å, c = 4.608 Å
α = 81.80°, β = 81.80°, γ = 100.52°
Atoms (fractional coordinates):
O 0.566 0.159 0.266
O 0.670 0.850 0.803
O 0.150 0.330 0.197
O 0.915 0.802 0.298
O 0.841 0.434 0.734
O 0.198 0.085 0.702
O 0.453 0.547 0.500
P 0.337 0.267 0.412
P 0.733 0.663 0.588
Fe 0.890 0.110 0.000

Winner for stability: B)

A) This record from the Materials Project database describes an optimized crystal structure of FeP2O7. The functional is GGA+U.

Computed properties:
The total magnetization comes out at 8.00 μB/cell. The calculation puts the maximum piezoelectric response at 0.5 C/m². The volume comes out at 257 Å³ per cell.

a = 5.418 Å, b = 5.418 Å, c = 9.169 Å
α = 82.42°, β = 97.58°, γ = 77.73°
Atoms (fractional coordinates):
P 0.224 0.809 0.205
P 0.803 0.224 0.799
P 0.191 0.776 0.705
P 0.776 0.197 0.299
O 0.875 0.395 0.382
O 0.667 0.015 0.399
O 0.339 0.620 0.853
O 0.371 0.897 0.617
O 0.365 0.954 0.101
O 0.046 0.635 0.601
O 0.103 0.629 0.117
O 0.662 0.402 0.655
O 0.971 0.985 0.746
O 0.380 0.661 0.353
O 0.015 0.029 0.246
O 0.985 0.333 0.899
O 0.598 0.338 0.155
O 0.605 0.125 0.882
Fe 0.690 0.658 0.493
Fe 0.342 0.310 0.993

B) This record from the Materials Project database describes an optimized crystal structure of FeP2O7. The functional is GGA+U.

Computed properties:
The total magnetization comes out at 18.01 μB/cell. The volume comes out at 573 Å³ per cell.

a = 6.451 Å, b = 10.647 Å, c = 9.675 Å
α = 64.69°, β = 107.12°, γ = 94.18°
Atoms (fractional coordinates):
P 0.415 0.463 0.682
P 0.073 0.206 0.184
P 0.582 0.542 0.311
P 0.108 0.703 0.442
P 0.890 0.302 0.549
P 0.311 0.965 0.801
P 0.690 0.039 0.189
P 0.928 0.798 0.807
O 0.361 0.419 0.840
O 0.002 0.718 0.272
O 0.997 0.283 0.721
O 0.798 0.462 0.453
O 0.732 0.958 0.101
O 0.602 0.557 0.657
O 0.956 0.352 0.104
O 0.395 0.448 0.336
O 0.722 0.811 0.674
O 0.271 0.044 0.891
O 0.692 0.215 0.533
O 0.551 0.172 0.072
O 0.608 0.950 0.331
O 0.636 0.585 0.153
O 0.391 0.056 0.658
O 0.108 0.176 0.051
O 0.305 0.790 0.457
O 0.081 0.915 0.725
O 0.945 0.728 0.516
O 0.053 0.279 0.474
O 0.558 0.683 0.319
O 0.277 0.195 0.316
O 0.898 0.825 0.942
O 0.042 0.652 0.884
O 0.454 0.832 0.916
O 0.439 0.323 0.673
O 0.921 0.089 0.266
O 0.199 0.543 0.540
Fe 0.727 0.779 0.092
Fe 0.622 0.754 0.493
Fe 0.375 0.252 0.497
Fe 0.274 0.224 0.898

Winner for stability: B)